Density functional theory data (PBE-GGA) for an optimized crystal structure of La2S2O.

abc: 16.1856 4.0684 7.1408
angles: 90.00 90.00 90.00
Space group Pnma (No. 62)
Asymmetric unit:
La 0.0410 0.2500 0.2075 [4 per cell]
La 0.1687 0.2500 0.7561 [4 per cell]
S 0.1025 0.7500 0.5142 [4 per cell]
S 0.1769 0.7500 0.0426 [4 per cell]
O 0.0318 0.2500 0.8673 [4 per cell]

Properties
* formation energy from the elements: -3.022 eV per atom
* MP2020-corrected energy: -0.5616 Ry per atom
* E_tot: -36.51 eV per formula unit

Density functional theory data (PBE-GGA) for an optimized crystal structure of La6Sb4S3O12.

abc: 10.9354 10.9354 15.4317
angles: 90.00 90.00 90.00
Space group I-42d (No. 122)
Asymmetric unit:
La 0.0000 0.0000 0.1970 [8 per cell]
La 0.1959 0.1984 0.9993 [16 per cell]
Sb 0.0021 0.1760 0.4122 [16 per cell]
S 0.0000 0.0000 0.0000 [4 per cell]
S 0.0316 0.7500 0.6250 [8 per cell]
O 0.0014 0.6860 0.9698 [16 per cell]
O 0.1255 0.1856 0.8420 [16 per cell]
O 0.1275 0.6875 0.4064 [16 per cell]

Properties
* formation energy from the elements: -2.881 eV per atom
* MP2020-corrected energy: -0.5584 Ry per atom
* E_tot: -180.20 eV per formula unit

Density functional theory data (PBE-GGA) for an optimized crystal structure of LaScS3O12.

abc: 9.2259 9.2259 23.8796
angles: 90.00 90.00 120.00
Space group P321 (No. 150)
Asymmetric unit:
La 0.0000 0.0000 0.1062 [2 per cell]
La 0.0000 0.0000 0.3886 [2 per cell]
La 0.3333 0.6667 0.5663 [2 per cell]
Sc 0.3333 0.6667 0.0648 [2 per cell]
Sc 0.3333 0.6667 0.2681 [2 per cell]
Sc 0.3333 0.6667 0.7732 [2 per cell]
S 0.0000 0.2930 0.5000 [3 per cell]
S 0.0000 0.6914 0.0000 [3 per cell]
S 0.0359 0.6523 0.6743 [6 per cell]
S 0.0470 0.3936 0.1688 [6 per cell]
O 0.0181 0.2106 0.4492 [6 per cell]
O 0.0220 0.8049 0.6698 [6 per cell]
O 0.0286 0.2251 0.1624 [6 per cell]
O 0.0375 0.8036 0.9508 [6 per cell]
O 0.1003 0.6241 0.6209 [6 per cell]
O 0.1211 0.4962 0.8226 [6 per cell]
O 0.1263 0.4951 0.1175 [6 per cell]
O 0.1316 0.6374 0.3159 [6 per cell]
O 0.1482 0.6729 0.0128 [6 per cell]
O 0.1505 0.4600 0.5044 [6 per cell]
O 0.1531 0.6770 0.7209 [6 per cell]
O 0.1546 0.4745 0.2182 [6 per cell]

Properties
* formation energy from the elements: -2.603 eV per atom
* MP2020-corrected energy: -0.5504 Ry per atom
* E_tot: -119.06 eV per formula unit

Density functional theory data (PBE-GGA) for an optimized crystal structure of La4Si2S3O7.

abc: 12.2072 12.2072 14.4700
angles: 90.00 90.00 90.00
Space group I4_1/amd (No. 141, origin choice 2)
Asymmetric unit:
La 0.0000 0.0130 0.3431 [16 per cell]
La 0.1710 0.0790 0.8750 [16 per cell]
Si 0.0000 0.1265 0.0978 [16 per cell]
S 0.0000 0.2500 0.3750 [4 per cell]
S 0.0000 0.2500 0.8750 [4 per cell]
S 0.1491 0.0000 0.5000 [16 per cell]
O 0.0000 0.0256 0.1748 [16 per cell]
O 0.0000 0.2500 0.1449 [8 per cell]
O 0.1173 0.1100 0.0440 [32 per cell]

Properties
* formation energy from the elements: -3.324 eV per atom
* MP2020-corrected energy: -0.6009 Ry per atom
* E_tot: -124.50 eV per formula unit